No. 1
This record from the Materials Project database describes a geometry-optimized V5W3O20 structure. The functional is PBE with a Hubbard U.

a b c (Å): 7.6196 7.8273 12.9827
angles (deg): 90.37 107.02 90.09
With the nearest neighbours (Å) after each atom.
Fractional positions:
V (0.1725, 0.2052, 0.3442)  1 O 1.67
V (0.1717, 0.2046, 0.8452)  1 O 1.65
V (0.1737, 0.7097, 0.3480)  1 O 1.66
V (0.1759, 0.7150, 0.8399)  1 O 1.64
V (0.3208, 0.7884, 0.6412)  2 O 1.69-1.70
V (0.6792, 0.2116, 0.3588)  2 O 1.69-1.70
V (0.8241, 0.2850, 0.1601)  1 O 1.64
V (0.8263, 0.2903, 0.6520)  1 O 1.66
V (0.8283, 0.7954, 0.1548)  1 O 1.65
V (0.8275, 0.7948, 0.6558)  1 O 1.67
W (0.3197, 0.7740, 0.1429)  4 O 1.83-1.95
W (0.3209, 0.2808, 0.6439)  4 O 1.79-1.97
W (0.3243, 0.2752, 0.1470)  4 O 1.82-1.97
W (0.6757, 0.7248, 0.8530)  4 O 1.82-1.97
W (0.6791, 0.7192, 0.3561)  4 O 1.79-1.97
W (0.6803, 0.2260, 0.8571)  4 O 1.83-1.95
O (0.0908, 0.2523, 0.1817)  1 W 1.97, 2 V 1.99-2.05
O (0.0957, 0.7463, 0.1817)  1 W 1.93, 2 V 2.00-2.09
O (0.0973, 0.2491, 0.6843)  1 W 1.94, 2 V 2.01-2.03
O (0.1019, 0.7527, 0.6882)  3 V 1.91-2.04
O (0.1728, 0.5053, 0.8465)  1 V 1.64
O (0.1725, 0.9924, 0.3486)  1 V 1.67
O (0.1737, 0.9937, 0.8515)  1 V 1.65
O (0.1761, 0.4974, 0.3521)  1 V 1.66
O (0.2430, 0.7503, 0.9958)  1 W 1.83, 1 V 1.95
O (0.2464, 0.2553, 0.0006)  1 W 1.82, 1 V 1.97
O (0.2495, 0.2513, 0.4997)  1 W 1.80, 1 V 1.96
O (0.2533, 0.7572, 0.5062)  1 V 1.69
O (0.3223, 0.0072, 0.1464)  1 W 1.83
O (0.3259, 0.0052, 0.6522)  1 V 1.70
O (0.3271, 0.5090, 0.1507)  1 W 1.83
O (0.3270, 0.5088, 0.6506)  1 W 1.79
O (0.4114, 0.7522, 0.3144)  2 W 1.97-2.14, 1 V 2.01
O (0.4124, 0.7483, 0.8287)  1 V 1.87, 1 W 1.95
O (0.4146, 0.2507, 0.8205)  1 W 1.95, 1 V 2.00
O (0.4156, 0.2435, 0.3124)  2 V 1.94-2.03, 1 W 2.07
O (0.5844, 0.7565, 0.6876)  2 V 1.94-2.03, 1 W 2.07
O (0.5854, 0.7493, 0.1795)  1 W 1.95, 1 V 2.00
O (0.5876, 0.2517, 0.1713)  1 V 1.87, 1 W 1.95
O (0.5886, 0.2478, 0.6856)  2 W 1.97-2.14, 1 V 2.01
O (0.6730, 0.4912, 0.3494)  1 W 1.79
O (0.6729, 0.4910, 0.8493)  1 W 1.83
O (0.6741, 0.9948, 0.3478)  1 V 1.70
O (0.6777, 0.9928, 0.8536)  1 W 1.83
O (0.7467, 0.2428, 0.4938)  1 V 1.69
O (0.7505, 0.7487, 0.5003)  1 W 1.80, 1 V 1.96
O (0.7536, 0.7447, 0.9994)  1 W 1.82, 1 V 1.97
O (0.7570, 0.2497, 0.0042)  1 W 1.83, 1 V 1.95
O (0.8239, 0.5026, 0.6479)  1 V 1.66
O (0.8263, 0.0063, 0.1485)  1 V 1.65
O (0.8275, 0.0076, 0.6514)  1 V 1.67
O (0.8272, 0.4947, 0.1535)  1 V 1.64
O (0.8981, 0.2473, 0.3118)  3 V 1.91-2.04
O (0.9027, 0.7509, 0.3157)  1 W 1.94, 2 V 2.01-2.03
O (0.9043, 0.2537, 0.8183)  1 W 1.93, 2 V 2.00-2.09
O (0.9092, 0.7477, 0.8183)  1 W 1.97, 2 V 1.99-2.05

Results
space-group type = P-1
relative energy among the computed polymorphs = 0 meV per atom
formation energy = -2261 meV per atom

No. 2
This record from the Materials Project database describes a geometry-optimized CaPH5W2O4 structure. The functional is PBE with a Hubbard U.

a b c (Å): 11.0726 11.0726 5.6353
angles (deg): 96.50 96.50 146.24
With the nearest neighbours (Å) after each atom.
Fractional positions:
Ca (0.2010, 0.7990, 0.5000)  4 O 2.27-2.51, 1 H 2.41
Ca (0.7990, 0.2010, 0.0000)  4 O 2.27-2.51, 1 H 2.41
P (0.2801, 0.6636, 0.9778)  4 O 1.52-1.62
P (0.6636, 0.2801, 0.4778)  4 O 1.52-1.62
H (0.0286, 0.2587, 0.2992)  1 W 1.81
H (0.1472, 0.1676, 0.8215)  3 W 1.98-2.20
H (0.1676, 0.1472, 0.3215)  3 W 1.98-2.20
H (0.2587, 0.0286, 0.7992)  1 W 1.81
H (0.4666, 0.6331, 0.4288)  2 W 1.90-1.91, 1 H 2.10
H (0.5822, 0.8906, 0.3402)  1 O 0.98
H (0.6331, 0.4666, 0.9288)  2 W 1.90-1.91, 1 H 2.10
H (0.7027, 0.7758, 0.9725)  2 W 1.88-1.98
H (0.7758, 0.7027, 0.4725)  2 W 1.88-1.98
H (0.8906, 0.5822, 0.8402)  1 O 0.98
W (0.2147, 0.3296, 0.1613)  4 H 1.81-2.03
W (0.3296, 0.2147, 0.6613)  4 H 1.81-2.03
W (0.7625, 0.8477, 0.6767)  3 H 1.88-1.98
W (0.8477, 0.7625, 0.1767)  3 H 1.88-1.98
O (0.1483, 0.6347, 0.1155)  1 P 1.54
O (0.1651, 0.4378, 0.9215)  1 P 1.55
O (0.3077, 0.7339, 0.7481)  1 P 1.52
O (0.4378, 0.1651, 0.4215)  1 P 1.55
O (0.5536, 0.8877, 0.1667)  1 H 0.98
O (0.6347, 0.1483, 0.6155)  1 P 1.54
O (0.7339, 0.3077, 0.2481)  1 P 1.52
O (0.8877, 0.5536, 0.6667)  1 H 0.98

Results
space-group type = Cc
formation energy = -796 meV per atom

What is the formation energy in the second record? -796 meV per atom